This record from the Materials Project database describes a relaxed HoAl7Au3 crystal. The functional is r²SCAN.

a b c (Å): 8.375 8.375 8.375
angles (deg): 57.34 57.34 57.34
Fractional coordinates of all 22 atoms:
Ho 0.000 0.000 0.000
Ho 0.500 0.500 0.500
Al 0.932 0.147 0.332
Al 0.332 0.932 0.147
Al 0.147 0.332 0.932
Al 0.568 0.168 0.353
Al 0.353 0.568 0.168
Al 0.168 0.353 0.568
Al 0.068 0.853 0.668
Al 0.668 0.068 0.853
Al 0.750 0.750 0.750
Al 0.250 0.250 0.250
Al 0.832 0.647 0.432
Al 0.647 0.432 0.832
Al 0.432 0.832 0.647
Al 0.853 0.668 0.068
Au 0.250 0.575 0.925
Au 0.925 0.250 0.575
Au 0.575 0.925 0.250
Au 0.750 0.425 0.075
Au 0.075 0.750 0.425
Au 0.425 0.075 0.750

Values from the calculation:
Its calculated density is 8.0 g/cm3. The calculation puts the formation energy at -0.569 eV per atom.

***

This record from the Materials Project database describes a relaxed HoAlAu crystal. The functional is r²SCAN.

a b c (Å): 4.436 7.124 7.736
angles (deg): 90.00 90.00 90.00
Fractional coordinates of all 12 atoms:
Ho 0.250 0.008 0.301
Ho 0.250 0.508 0.199
Ho 0.750 0.992 0.699
Ho 0.750 0.492 0.801
Al 0.250 0.175 0.922
Al 0.250 0.675 0.578
Al 0.750 0.825 0.078
Al 0.750 0.325 0.422
Au 0.250 0.286 0.594
Au 0.250 0.786 0.906
Au 0.750 0.714 0.406
Au 0.750 0.214 0.094

Values from the calculation:
Its calculated density is 10.6 g/cm3. The calculation puts the formation energy at -0.893 eV per atom.

***

This record from the Materials Project database describes a relaxed LuAlAu crystal. The functional is r²SCAN.

a b c (Å): 7.093 7.093 4.071
angles (deg): 90.00 90.00 120.00
Fractional coordinates of all 9 atoms:
Lu 0.415 0.415 0.500
Lu 0.585 0.000 0.500
Lu 0.000 0.585 0.500
Al 0.759 0.759 0.000
Al 0.241 0.000 0.000
Al 0.000 0.241 0.000
Au 0.667 0.333 0.000
Au 0.333 0.667 0.000
Au 0.000 0.000 0.500

Values from the calculation:
Its calculated density is 11.2 g/cm3. The calculation puts the formation energy at -0.890 eV per atom.

***

- Which value of calculated density does entry 3 give?
  11.2 g/cm3

***

- What is the calculated density in the first record?
  8.0 g/cm3

***

What did the second record say?
This record from the Materials Project database describes a relaxed HoAlAu crystal. The functional is r²SCAN.

a b c (Å): 4.436 7.124 7.736
angles (deg): 90.00 90.00 90.00
Fractional coordinates of all 12 atoms:
Ho 0.250 0.008 0.301
Ho 0.250 0.508 0.199
Ho 0.750 0.992 0.699
Ho 0.750 0.492 0.801
Al 0.250 0.175 0.922
Al 0.250 0.675 0.578
Al 0.750 0.825 0.078
Al 0.750 0.325 0.422
Au 0.250 0.286 0.594
Au 0.250 0.786 0.906
Au 0.750 0.714 0.406
Au 0.750 0.214 0.094

Values from the calculation:
Its calculated density is 10.6 g/cm3. The calculation puts the formation energy at -0.893 eV per atom.

***

- Among the records above, which one has the highest calculated density?
  LuAlAu